Entry from the Materials Project: GdGaI after structural relaxation (GGA-PBE).

a b c (Å): 4.2451 4.2451 11.7044
angles (deg): 90.00 90.00 120.00
With the nearest neighbours (Å) after each atom.
Space group P-3m1 (No. 164)
Asymmetric unit:
Gd (0.0000, 0.0000, 0.1757)  3 Ga 2.99, 3 I 3.18
Ga (0.3333, 0.6667, 0.0296)  3 Ga 2.55
I (0.3333, 0.6667, 0.6514)  3 Gd 3.18

Summary:
* V: 183 Å³/cell
* E_form: -1.19 eV per atom
* density: 6.43 g/cm3
* energy with MP2020 corrections: -7.397 eV/atom


Entry from the Materials Project: Gd3Lu2Ga3O12 after structural relaxation (GGA-PBE).

a b c (Å): 12.8623 12.8623 12.8623
angles (deg): 90.00 90.00 90.00
With the nearest neighbours (Å) after each atom.
Space group Ia-3d (No. 230)
Asymmetric unit:
Gd (0.0000, 0.2500, 0.1250)  8 O 2.43-2.52
Lu (0.0000, 0.0000, 0.0000)  6 O 2.19
Ga (0.0000, 0.2500, 0.3750)  4 O 1.88
O (0.0284, 0.0587, 0.6574)  1 Ga 1.88

Summary:
* magnetic moment: 21.0 μB per formula unit
* V: 2128 Å³/cell
* E_form: -3.39 eV per atom
* density: 7.63 g/cm3
* energy with MP2020 corrections: -9.375 eV/atom


Entry from the Materials Project: GdMgGa after structural relaxation (GGA-PBE).

a b c (Å): 7.3634 7.3634 4.4887
angles (deg): 90.00 90.00 120.00
With the nearest neighbours (Å) after each atom.
Space group P-62m (No. 189)
Asymmetric unit:
Gd (0.0000, 0.5752, 0.0000)  5 Ga 3.13-3.14, 2 Mg 3.32
Mg (0.0000, 0.2437, 0.5000)  4 Ga 2.84-2.87, 2 Mg 3.11
Ga (0.0000, 0.0000, 0.0000)  6 Mg 2.87, 3 Gd 3.13
Ga (0.3333, 0.6667, 0.5000)  3 Mg 2.84, 6 Gd 3.14

Summary:
* V: 211 Å³/cell
* E_form: -0.49 eV per atom
* density: 5.94 g/cm3


Entry from the Materials Project: Gd2MnGa6 after structural relaxation (GGA-PBE).

a b c (Å): 8.7374 8.7374 8.7374
angles (deg): 90.00 90.00 90.00
With the nearest neighbours (Å) after each atom.
Space group Fm-3m (No. 225)
Asymmetric unit:
Gd (0.2500, 0.2500, 0.2500)  12 Ga 3.10
Mn (0.0000, 0.0000, 0.0000)  6 Ga 2.43
Ga (0.0000, 0.0000, 0.2783)  1 Mn 2.43

Summary:
* V: 667 Å³/cell
* E_form: -0.53 eV per atom
* density: 7.84 g/cm3


Entry from the Materials Project: Gd2NbGaO7 after structural relaxation (GGA-PBE).

a b c (Å): 7.2389 7.4400 10.4058
angles (deg): 90.00 90.00 90.00
With the nearest neighbours (Å) after each atom.
Space group Imma (No. 74)
Asymmetric unit:
Gd (0.0000, 0.0000, 0.0000)  6 O 2.27-2.53
Gd (0.2500, 0.2500, 0.2500)  2 O 2.23
Nb (0.0000, 0.0000, 0.5000)  6 O 2.00-2.04
Ga (0.2500, 0.2500, 0.7500)  6 O 2.00-2.04
O (0.0000, 0.2500, 0.1255)  4 Gd 2.23-2.27
O (0.0000, 0.2500, 0.4198)  2 Nb 2.04
O (0.0000, 0.2500, 0.8327)  2 Ga 2.00
O (0.2044, 0.0427, 0.6252)  1 Nb 2.00, 1 Ga 2.04

Summary:
* magnetic moment: 14.0 μB per formula unit
* V: 560 Å³/cell
* E_form: -3.28 eV per atom
* density: 6.98 g/cm3
* energy with MP2020 corrections: -10.178 eV/atom


Entry from the Materials Project: Gd3Ga2Ni6 after structural relaxation (GGA-PBE).

a b c (Å): 8.9338 8.9338 8.9338
angles (deg): 90.00 90.00 90.00
With the nearest neighbours (Å) after each atom.
Space group Im-3m (No. 229)
Asymmetric unit:
Gd (0.0000, 0.0000, 0.2896)  8 Ni 2.77-3.06
Ga (0.2500, 0.2500, 0.2500)  6 Ni 2.50
Ni (0.0000, 0.3386, 0.3386)  2 Ga 2.50, 4 Ni 2.58, 2 Gd 2.77

Summary:
* magnetic moment: 21.8 μB per formula unit
* V: 713 Å³/cell
* E_form: -0.52 eV per atom
* density: 8.97 g/cm3